Entry 1:
## PmPrHg2 (r²SCAN)

Data for PmPrHg2 after structural relaxation.

a b c (Å): 5.3948 5.3948 5.3948
angles (deg): 60.00 60.00 60.00
With the nearest neighbours (Å) after each atom.
Fractional positions:
Pm 0.5000 0.5000 0.5000  8 Hg 3.30
Hg 0.7500 0.7500 0.7500  4 Pr 3.30, 4 Pm 3.30
Hg 0.2500 0.2500 0.2500  4 Pm 3.30, 4 Pr 3.30
Pr 0.0000 0.0000 0.0000  8 Hg 3.30

Results
Calculated volume: 27.756 A^3/atom
Energy relative to the elements: -555.3 meV per atom
VASP energy: -39.975 eV/atom

---

Entry 2:
## Pm2SnHg (r²SCAN)

Data for Pm2SnHg after structural relaxation.

a b c (Å): 5.3964 5.3964 5.3964
angles (deg): 60.00 60.00 60.00
With the nearest neighbours (Å) after each atom.
Fractional positions:
Pm 0.0000 0.0000 0.0000  4 Sn 3.30, 4 Hg 3.30
Pm 0.5000 0.5000 0.5000  4 Hg 3.30, 4 Sn 3.30
Sn 0.7500 0.7500 0.7500  8 Pm 3.30
Hg 0.2500 0.2500 0.2500  8 Pm 3.30

Results
Calculated volume: 27.780 A^3/atom
Energy relative to the elements: -690.7 meV per atom
VASP energy: -33.989 eV/atom

---

Entry 3:
## Pr2SnHg (r²SCAN)

Data for Pr2SnHg after structural relaxation.

a b c (Å): 5.4815 5.4815 5.4815
angles (deg): 60.00 60.00 60.00
With the nearest neighbours (Å) after each atom.
Fractional positions:
Hg 0.2500 0.2500 0.2500  8 Pr 3.36
Pr 0.0000 0.0000 0.0000  4 Sn 3.36, 4 Hg 3.36
Pr 0.5000 0.5000 0.5000  4 Sn 3.36, 4 Hg 3.36
Sn 0.7500 0.7500 0.7500  8 Pr 3.36

Results
Calculated volume: 29.115 A^3/atom
Energy relative to the elements: -686.1 meV per atom
VASP energy: -33.917 eV/atom

---

Entry 4:
## YbPrHg2 (r²SCAN)

Data for YbPrHg2 after structural relaxation.

a b c (Å): 5.3005 5.3005 5.3005
angles (deg): 60.00 60.00 60.00
With the nearest neighbours (Å) after each atom.
Fractional positions:
Pr 0.5000 0.5000 0.5000  8 Hg 3.25
Yb 0.0000 0.0000 0.0000  8 Hg 3.25
Hg 0.7500 0.7500 0.7500  4 Pr 3.25, 4 Yb 3.25
Hg 0.2500 0.2500 0.2500  4 Pr 3.25, 4 Yb 3.25

Results
Calculated volume: 26.325 A^3/atom
Energy relative to the elements: -535.6 meV per atom
VASP energy: -41.703 eV/atom